VASP calculation (PBE with a Hubbard U) on a geometry-optimized TiMnO3 structure.

Computed properties:
Calculated density ... 4.49 g/cm3
Final energy ... -8.5528 eV per atom
Total magnetization ... 20.0 μB per cell
ΔE_f ... -1408 kJ/mol of formula units
Maximum piezoelectric response ... 3.81 C/m2

```
TiMnO3
1.0
-0.011 5.154 1.028
7.539 -0.246 1.310
1.404 1.055 -5.274
Ti Mn O
4 4 12
direct
0.000 0.994 0.990 Ti
0.500 0.494 0.490 Ti
0.000 0.494 0.990 Ti
0.500 0.994 0.490 Ti
0.000 0.217 0.434 Mn
0.000 0.717 0.434 Mn
0.500 0.716 0.934 Mn
0.500 0.216 0.934 Mn
0.301 0.576 0.226 O
0.801 0.076 0.726 O
0.688 0.462 0.838 O
0.188 0.962 0.338 O
0.812 0.462 0.338 O
0.312 0.962 0.838 O
0.113 0.263 0.036 O
0.613 0.763 0.536 O
0.887 0.763 0.036 O
0.387 0.263 0.536 O
0.199 0.576 0.726 O
0.699 0.076 0.226 O
```


VASP calculation (PBE with a Hubbard U) on a geometry-optimized Nd2W3O12 structure.

Computed properties:
Calculated density ... 6.63 g/cm3
Space group ... C2/c
Final energy ... -7.7984 eV per atom
Total magnetization ... 0.0 μB per cell
ΔE_f ... -4472 kJ/mol of formula units

```
Nd2W3O12
1.0
5.888 3.977 0.000
-5.888 3.977 0.000
0.000 3.907 11.034
Nd W O
4 6 24
direct
0.541 0.787 0.406 Nd
0.213 0.459 0.094 Nd
0.459 0.213 0.594 Nd
0.787 0.541 0.906 Nd
0.961 0.752 0.547 W
0.248 0.039 0.953 W
0.752 0.961 0.047 W
0.039 0.248 0.453 W
0.366 0.634 0.750 W
0.634 0.366 0.250 W
0.897 0.972 0.428 O
0.028 0.103 0.072 O
0.103 0.028 0.572 O
0.972 0.897 0.928 O
0.162 0.731 0.440 O
0.269 0.838 0.060 O
0.838 0.269 0.560 O
0.731 0.162 0.940 O
0.044 0.390 0.304 O
0.610 0.956 0.196 O
0.419 0.839 0.610 O
0.161 0.581 0.890 O
0.581 0.161 0.390 O
0.839 0.419 0.110 O
0.689 0.586 0.539 O
0.414 0.311 0.961 O
0.311 0.414 0.461 O
0.586 0.689 0.039 O
0.294 0.383 0.718 O
0.617 0.706 0.782 O
0.706 0.617 0.282 O
0.383 0.294 0.218 O
0.390 0.044 0.804 O
0.956 0.610 0.696 O
```


VASP calculation (PBE with a Hubbard U) on a geometry-optimized MgCr4O12 structure.

Computed properties:
Calculated density ... 2.03 g/cm3
Space group ... Pm
Final energy ... -6.5220 eV per atom
Energy above the lowest structure with this stoichiometry ... 149 meV/atom
Total magnetization ... 2.0 μB per cell
ΔE_f ... -2656 kJ/mol of formula units

```
MgCr4O12
1.0
5.888 0.000 -0.007
0.000 10.668 0.000
-0.009 0.000 5.521
Mg Cr O
1 4 12
direct
0.470 0.750 0.935 Mg
0.050 0.250 0.925 Cr
0.453 0.750 0.456 Cr
0.550 0.250 0.572 Cr
0.955 0.750 0.063 Cr
0.058 0.130 0.095 O
0.058 0.370 0.095 O
0.291 0.250 0.736 O
0.244 0.750 0.205 O
0.451 0.628 0.641 O
0.451 0.872 0.641 O
0.557 0.129 0.402 O
0.557 0.371 0.402 O
0.790 0.250 0.762 O
0.675 0.750 0.224 O
0.940 0.876 0.901 O
0.940 0.624 0.901 O
```


VASP calculation (PBE with a Hubbard U) on a geometry-optimized MgV3O4F4 structure.

Computed properties:
Calculated density ... 3.58 g/cm3
Space group ... Pm
Final energy ... -6.8085 eV per atom
Energy above the lowest structure with this stoichiometry ... 6 meV/atom
Total magnetization ... 5.0 μB per cell
ΔE_f ... -3386 kJ/mol of formula units

```
MgV3O4F4
1.0
4.799 0.146 0.000
0.088 9.819 0.000
0.000 0.000 3.121
Mg V O F
1 3 4 4
direct
0.491 0.097 0.250 Mg
0.001 0.847 0.750 V
0.490 0.389 0.750 V
0.524 0.641 0.250 V
0.309 0.481 0.250 O
0.323 0.729 0.750 O
0.711 0.546 0.750 O
0.804 0.774 0.250 O
0.303 0.198 0.750 F
0.188 0.963 0.250 F
0.692 0.276 0.250 F
0.707 0.015 0.750 F
```


VASP calculation (PBE with a Hubbard U) on a geometry-optimized LiMg14CoO16 structure.

Computed properties:
Calculated density ... 3.61 g/cm3
Space group ... Pmmm
Final energy ... -5.9160 eV per atom
Energy above the lowest structure with this stoichiometry ... 0 meV/atom
Total magnetization ... 0.7 μB per cell
ΔE_f ... -8814 kJ/mol of formula units

```
LiMg14CoO16
1.0
8.473 0.000 0.000
0.000 8.501 0.000
0.000 0.000 4.231
Li Mg Co O
1 14 1 16
direct
0.000 0.500 0.000 Li
0.500 0.000 0.000 Mg
0.500 0.500 0.000 Mg
0.000 0.256 0.500 Mg
0.000 0.744 0.500 Mg
0.500 0.252 0.500 Mg
0.500 0.748 0.500 Mg
0.248 0.000 0.500 Mg
0.244 0.500 0.500 Mg
0.752 0.000 0.500 Mg
0.756 0.500 0.500 Mg
0.247 0.255 0.000 Mg
0.247 0.745 0.000 Mg
0.753 0.255 0.000 Mg
0.753 0.745 0.000 Mg
0.000 0.000 0.000 Co
0.238 0.000 0.000 O
0.254 0.500 0.000 O
0.762 0.000 0.000 O
0.746 0.500 0.000 O
0.249 0.248 0.500 O
0.249 0.752 0.500 O
0.751 0.248 0.500 O
0.751 0.752 0.500 O
0.000 0.000 0.500 O
0.000 0.500 0.500 O
0.500 0.000 0.500 O
0.500 0.500 0.500 O
0.000 0.228 0.000 O
0.000 0.772 0.000 O
0.500 0.245 0.000 O
0.500 0.755 0.000 O
```


VASP calculation (PBE with a Hubbard U) on a geometry-optimized Ta2CrNO5 structure.

Computed properties:
Calculated density ... 8.06 g/cm3
Final energy ... -9.4243 eV per atom
Energy above the lowest structure with this stoichiometry ... 0 meV/atom
Total magnetization ... 0.0 μB per cell
ΔE_f ... -2297 kJ/mol of formula units
Maximum piezoelectric response ... 1.66 C/m2

```
Ta2CrNO5
1.0
-3.259 -3.452 0.164
0.862 -1.261 -9.386
6.684 -6.242 1.453
Ta Cr N O
8 4 4 20
direct
0.994 0.008 0.338 Ta
0.994 0.508 0.338 Ta
0.994 0.008 0.662 Ta
0.994 0.508 0.662 Ta
0.506 0.258 0.162 Ta
0.506 0.758 0.162 Ta
0.506 0.258 0.838 Ta
0.506 0.758 0.838 Ta
0.002 0.998 0.000 Cr
0.498 0.748 0.500 Cr
0.001 0.498 0.000 Cr
0.499 0.248 0.500 Cr
0.698 0.346 0.000 N
0.698 0.846 0.000 N
0.802 0.096 0.500 N
0.802 0.596 0.500 N
0.192 0.401 0.500 O
0.193 0.901 0.500 O
0.307 0.151 0.000 O
0.308 0.651 0.000 O
0.198 0.399 0.831 O
0.198 0.899 0.831 O
0.198 0.399 0.169 O
0.198 0.899 0.169 O
0.302 0.149 0.331 O
0.302 0.649 0.331 O
0.302 0.149 0.669 O
0.302 0.649 0.669 O
0.696 0.346 0.330 O
0.696 0.846 0.330 O
0.696 0.346 0.670 O
0.696 0.846 0.670 O
0.804 0.096 0.170 O
0.804 0.596 0.170 O
0.804 0.096 0.830 O
0.804 0.596 0.830 O
```


VASP calculation (PBE with a Hubbard U) on a geometry-optimized LiFe4B4O12 structure.

Computed properties:
Calculated density ... 3.18 g/cm3
Space group ... P1
Final energy ... -7.2049 eV per atom
Energy above the lowest structure with this stoichiometry ... 11 meV/atom
Total magnetization ... 38.0 μB per cell
ΔE_f ... -4505 kJ/mol of formula units

```
LiFe4B4O12
1.0
2.666 -4.630 0.057
7.783 4.555 0.000
-2.680 -4.381 10.122
Li Fe B O
2 8 8 24
direct
0.165 0.167 0.355 Li
0.596 0.057 0.095 Li
0.405 0.267 0.864 Fe
0.089 0.228 0.116 Fe
0.850 0.142 0.616 Fe
0.654 0.362 0.374 Fe
0.348 0.649 0.627 Fe
0.146 0.834 0.370 Fe
0.910 0.770 0.875 Fe
0.598 0.728 0.131 Fe
0.652 0.023 0.367 B
0.893 0.103 0.869 B
0.135 0.507 0.378 B
0.404 0.610 0.876 B
0.858 0.481 0.623 B
0.597 0.391 0.121 B
0.348 0.983 0.621 B
0.113 0.892 0.125 B
0.117 0.151 0.908 O
0.472 0.126 0.660 O
0.220 0.035 0.139 O
0.534 0.156 0.362 O
0.878 0.038 0.412 O
0.779 0.189 0.814 O
0.319 0.465 0.860 O
0.034 0.354 0.335 O
0.689 0.292 0.176 O
0.643 0.487 0.573 O
0.962 0.339 0.612 O
0.404 0.334 0.056 O
0.617 0.664 0.930 O
0.352 0.516 0.432 O
0.287 0.713 0.833 O
0.968 0.627 0.679 O
0.703 0.531 0.131 O
0.224 0.778 0.156 O
0.131 0.983 0.574 O
0.438 0.848 0.631 O
0.026 0.632 0.369 O
0.779 0.977 0.895 O
0.547 0.876 0.323 O
0.881 0.861 0.081 O
```


VASP calculation (PBE with a Hubbard U) on a geometry-optimized Sr2DyMnO6 structure.

Computed properties:
Calculated density ... 5.86 g/cm3
Space group ... Fm-3m
Final energy ... -6.9399 eV per atom
Total magnetization ... 2.0 μB per cell
ΔE_f ... -2736 kJ/mol of formula units

```
Sr2DyMnO6
1.0
0.000 -4.106 -4.106
4.106 0.000 -4.106
4.106 -4.106 0.000
Sr Dy Mn O
2 1 1 6
direct
0.250 0.250 0.250 Sr
0.750 0.750 0.750 Sr
0.000 0.000 0.000 Dy
0.500 0.500 0.500 Mn
0.733 0.267 0.267 O
0.267 0.733 0.733 O
0.733 0.267 0.733 O
0.267 0.733 0.267 O
0.733 0.733 0.267 O
0.267 0.267 0.733 O
```


VASP calculation (PBE with a Hubbard U) on a geometry-optimized MgFeO2 structure.

Computed properties:
Calculated density ... 3.78 g/cm3
Space group ... C2/m
Final energy ... -6.0909 eV per atom
Total magnetization ... 16.0 μB per cell
ΔE_f ... -775 kJ/mol of formula units

```
MgFeO2
1.0
1.550 8.104 0.000
-1.550 8.104 0.000
0.000 6.021 7.848
Mg Fe O
4 4 8
direct
0.318 0.318 0.237 Mg
0.682 0.682 0.763 Mg
0.048 0.048 0.116 Mg
0.952 0.952 0.884 Mg
0.590 0.590 0.562 Fe
0.180 0.180 0.176 Fe
0.820 0.820 0.824 Fe
0.410 0.410 0.438 Fe
0.835 0.835 0.595 O
0.438 0.438 0.767 O
0.562 0.562 0.233 O
0.165 0.165 0.405 O
0.097 0.097 0.774 O
0.798 0.798 0.081 O
0.903 0.903 0.226 O
0.202 0.202 0.919 O
```


VASP calculation (PBE with a Hubbard U) on a geometry-optimized Li2MnCo3O8 structure.

Computed properties:
Calculated density ... 4.36 g/cm3
Space group ... P-1
Final energy ... -5.9774 eV per atom
Energy above the lowest structure with this stoichiometry ... 117 meV/atom
Total magnetization ... 12.0 μB per cell
ΔE_f ... -2110 kJ/mol of formula units

```
Li2MnCo3O8
1.0
-4.588 2.220 -2.659
-0.515 -1.650 5.468
1.366 10.185 0.482
Li Mn Co O
4 2 6 16
direct
0.257 0.756 0.252 Li
0.743 0.245 0.748 Li
0.746 0.243 0.251 Li
0.254 0.757 0.749 Li
0.500 0.500 0.500 Mn
0.000 0.000 0.000 Mn
0.500 0.500 0.000 Co
0.000 0.000 0.500 Co
0.500 0.000 0.000 Co
0.000 0.500 0.500 Co
0.000 0.500 0.000 Co
0.500 0.000 0.500 Co
0.649 0.351 0.098 O
0.145 0.872 0.601 O
0.855 0.128 0.399 O
0.351 0.649 0.902 O
0.373 0.645 0.398 O
0.861 0.139 0.898 O
0.138 0.861 0.102 O
0.627 0.355 0.602 O
0.861 0.611 0.393 O
0.360 0.110 0.894 O
0.382 0.143 0.393 O
0.891 0.641 0.894 O
0.109 0.359 0.106 O
0.619 0.857 0.607 O
0.640 0.890 0.106 O
0.139 0.389 0.607 O
```


VASP calculation (PBE with a Hubbard U) on a geometry-optimized Ca2W3O8 structure.

Computed properties:
Calculated density ... 6.64 g/cm3
Space group ... P6_3mc
Final energy ... -7.3512 eV per atom
Energy above the lowest structure with this stoichiometry ... 0 meV/atom
Total magnetization ... 12.0 μB per cell
ΔE_f ... -3078 kJ/mol of formula units

```
Ca2W3O8
1.0
6.520 0.000 0.000
-3.260 5.647 0.000
0.000 0.000 10.321
Ca W O
4 6 16
direct
0.667 0.333 0.030 Ca
0.333 0.667 0.530 Ca
0.667 0.333 0.417 Ca
0.333 0.667 0.917 Ca
0.671 0.836 0.245 W
0.836 0.164 0.745 W
0.164 0.329 0.245 W
0.836 0.671 0.745 W
0.329 0.164 0.745 W
0.164 0.836 0.245 W
0.841 0.159 0.155 O
0.681 0.841 0.655 O
0.159 0.319 0.655 O
0.841 0.681 0.155 O
0.319 0.159 0.155 O
0.159 0.841 0.655 O
0.525 0.475 0.854 O
0.050 0.525 0.354 O
0.475 0.950 0.354 O
0.525 0.050 0.854 O
0.000 0.000 0.347 O
0.000 0.000 0.847 O
0.333 0.667 0.138 O
0.950 0.475 0.854 O
0.475 0.525 0.354 O
0.667 0.333 0.638 O
```


VASP calculation (PBE with a Hubbard U) on a geometry-optimized Li3Ti2NiO6 structure.

Computed properties:
Calculated density ... 4.09 g/cm3
Space group ... C2/m
Final energy ... -6.8553 eV per atom
Total magnetization ... 2.9 μB per cell
ΔE_f ... -3082 kJ/mol of formula units

```
Li3Ti2NiO6
1.0
5.333 -2.084 3.296
5.887 0.767 2.898
-1.363 1.070 5.761
Li Ti Ni O
3 2 1 6
direct
0.000 0.000 0.000 Li
0.664 0.664 0.664 Li
0.336 0.336 0.336 Li
0.661 0.661 0.174 Ti
0.339 0.339 0.826 Ti
0.000 0.000 0.500 Ni
0.167 0.167 0.403 O
0.826 0.826 0.071 O
0.833 0.833 0.597 O
0.492 0.492 0.751 O
0.508 0.508 0.249 O
0.174 0.174 0.929 O
```